# 1
Crystalline Si6H31C10N at its relaxed geometry. Source: Materials Project, functional PBE-GGA.

The structure in extended XYZ format:
```
96
Lattice="9.4457 -3.8946 0.0000 9.4457 3.8946 0.0000 -4.9353 0.0000 16.3849" Properties=species:S:1:pos:R:3 pbc="T T T"
Si -1.5412 0.7989 11.5975
Si -1.9439 0.5927 13.9363
Si 6.0710 3.3549 10.8294
Si 5.4174 3.3549 13.7479
Si 0.5238 -0.5927 5.7439
Si 0.9264 -0.7989 3.4051
Si 13.0297 0.7989 12.9798
Si 13.4323 0.5927 10.6410
Si 8.5386 -3.3549 2.6369
Si 7.8851 -3.3549 5.5555
Si 15.8999 -0.5927 2.4486
Si 15.4973 -0.7989 4.7873
H 2.6573 2.3569 10.2587
H 2.6813 1.0114 3.1446
H 1.5843 0.6636 7.6498
H 6.6158 2.7678 8.4828
H 6.7392 1.7902 0.4742
H 0.2491 0.1242 9.9660
H 0.9498 0.5994 11.5223
H 5.4262 1.1984 1.5172
H 4.8726 2.7678 16.0945
H 2.7168 -0.1242 1.7736
H 2.8051 0.0846 6.5030
H 4.0816 1.6110 14.9933
H 5.6728 1.4527 9.2263
H 5.2212 0.7172 4.8740
H 0.3374 -0.0846 14.6954
H 5.9626 1.1910 6.4226
H -0.8834 -0.6636 15.8423
H 7.1186 0.9132 1.9724
H 3.4175 -0.5994 3.3299
H 5.7442 1.4021 12.2886
H 0.2136 -1.0114 11.3370
H 7.4068 1.6110 9.5840
H 6.9886 0.7814 5.0271
H 5.8156 1.4527 15.3510
H 8.8311 2.3569 14.3186
H 9.6845 1.7902 7.7183
H 10.4611 1.1910 1.7698
H 2.7535 -0.7172 13.0664
H 9.4351 0.7814 3.1654
H 2.9585 -1.1984 9.7097
H 9.3051 0.9132 6.2200
H 4.6510 -0.9132 10.1648
H 10.9975 1.1984 6.6752
H 4.5209 -0.7814 13.2195
H 11.2026 0.7172 3.3185
H 3.4949 -1.1910 14.6151
H 4.2715 -1.7902 8.6666
H 5.1250 -2.3569 2.0663
H 8.1404 -1.4527 1.0339
H 6.9675 -0.7814 11.3578
H 6.5493 -1.6110 6.8009
H 13.7424 1.0114 5.0478
H 8.2119 -1.4021 4.0962
H 10.5386 0.5994 13.0550
H 6.8374 -0.9132 14.4125
H 14.8395 0.6635 0.5426
H 7.9935 -1.1910 9.9622
H 13.6186 0.0846 1.6895
H 8.7349 -0.7172 11.5109
H 8.2833 -1.4527 7.1585
H 9.8745 -1.6110 1.3916
H 11.1510 -0.0846 9.8819
H 11.2393 0.1242 14.6113
H 9.0835 -2.7678 0.2904
H 8.5299 -1.1984 14.8676
H 13.0062 -0.5994 4.8625
H 13.7069 -0.1242 6.4188
H 7.2169 -1.7902 15.9107
H 7.3402 -2.7678 7.9020
H 12.3718 -0.6636 8.7350
H 11.2748 -1.0114 13.2402
H 11.2987 -2.3569 6.1262
C 1.8053 0.5388 6.5806
C 6.4331 1.6434 1.5204
C 0.1210 0.0466 11.0546
C 2.5886 -0.0466 2.8622
C 6.4823 2.1798 9.3999
C 5.0061 2.1798 15.1774
C 6.0542 1.2745 5.3302
C -0.6624 -0.5388 14.7731
C 9.9906 1.6434 6.6720
C 10.3695 1.2745 2.8622
C 3.5865 -1.2745 13.5227
C 3.9655 -1.6434 9.7129
C 14.6185 0.5388 1.6118
C 7.9019 -1.2745 11.0546
C 8.9500 -2.1798 1.2074
C 7.4737 -2.1798 6.9850
C 11.3674 0.0466 13.5227
C 13.8351 -0.0466 5.3303
C 7.5229 -1.6434 14.8644
C 12.1508 -0.5388 9.8042
N 5.7442 2.4145 12.2886
N 8.2119 -2.4145 4.0962
```

## Properties
The value obtained for the raw total energy is -5.15 eV/atom. The total magnetization is 0.04 μB/f.u.

# 2
Crystalline TmScGe at its relaxed geometry. Source: Materials Project, functional PBE-GGA.

The structure in extended XYZ format:
```
18
Lattice="6.1175 0.0000 0.0000 0.0000 7.3906 4.5478 0.0000 -7.3906 4.5478" Properties=species:S:1:pos:R:3 pbc="T T T"
Tm 0.0000 0.0000 0.0000
Tm 0.0000 -1.9117 5.5703
Tm 0.0000 1.9117 5.5703
Tm 3.0588 -5.4557 3.6689
Tm 3.0588 0.0000 4.0569
Tm 3.0588 5.4557 3.6689
Sc 1.5358 -2.3117 2.2253
Sc 1.5358 2.3117 2.2253
Sc 3.0588 -2.7848 5.1302
Sc 3.0588 2.7848 5.1302
Sc 4.5817 -2.3117 2.2253
Sc 4.5817 2.3117 2.2253
Ge 0.0000 -4.4244 4.1611
Ge 0.0000 0.0000 3.1442
Ge 0.0000 4.4244 4.1611
Ge 1.7713 0.0000 6.6113
Ge 3.0588 0.0000 1.2184
Ge 4.3462 0.0000 6.6113
```

## Properties
The value obtained for the raw total energy is -5.65 eV/atom. The total magnetization is 0.24 μB/f.u.

# 3
Crystalline YP3O9 at its relaxed geometry. Source: Materials Project, functional PBE-GGA.

The structure in extended XYZ format:
```
156
Lattice="11.4842 0.0000 0.0000 0.0000 20.3142 0.0000 -1.3902 0.0000 10.1603" Properties=species:S:1:pos:R:3 pbc="T T T"
Y 0.0000 0.0000 0.0000
Y 10.8132 3.1402 4.9009
Y 10.1181 7.0169 9.9811
Y -0.6951 10.1571 5.0802
Y -0.0242 13.2973 0.1792
Y -0.7193 17.1740 5.2594
Y 5.6769 13.7478 0.2634
Y 4.9817 16.7235 5.3436
Y 5.7421 0.0000 0.0000
Y 5.0470 10.1571 5.0802
Y 5.1122 3.5907 4.8167
Y 4.4171 6.5664 9.8969
P 1.0853 14.6608 3.2866
P 0.3902 15.8105 8.3667
P 0.5593 2.3805 8.2060
P 1.2545 7.7766 3.1259
P 1.6081 0.8359 3.2259
P 0.9129 9.3212 8.3060
P 1.3610 4.6028 10.0714
P 2.0561 5.5543 4.9912
P 2.1659 12.4226 4.8605
P 1.4708 18.0487 9.9406
P 3.0607 11.2057 0.3131
P 2.3656 19.2657 5.3932
P 2.7469 14.3945 7.0872
P 3.4420 16.0769 2.0070
P 3.7303 2.5316 1.8044
P 3.0352 7.6255 6.8846
P 3.1773 1.3280 7.0234
P 3.8724 8.8291 1.9433
P 6.2215 11.4851 8.2170
P 6.9166 18.9862 3.1369
P 7.0587 12.6887 3.2757
P 6.3636 17.7826 8.3559
P 6.6520 4.2374 8.1533
P 7.3471 5.9197 3.0731
P 7.7283 1.0486 4.7671
P 7.0332 9.1085 9.8472
P 8.6231 2.2655 0.2197
P 7.9280 7.8916 5.2998
P 8.0378 14.7599 5.1691
P 8.7329 15.7114 0.0889
P 9.1810 10.9930 1.8543
P 8.4859 19.4783 6.9344
P 8.8395 12.5376 7.0344
P 9.5346 17.9337 1.9543
P 9.7037 4.5037 1.7936
P 9.0086 5.6534 6.8737
O 0.1733 13.9162 2.3554
O -0.5218 16.5551 7.4355
O -0.3221 2.4610 7.0003
O 0.3730 7.6961 1.9201
O -0.2135 15.0431 9.5034
O 0.4816 15.4283 4.4233
O 0.6626 1.4727 4.1951
O -0.0325 8.6844 9.2753
O 1.0574 0.2729 1.9558
O 0.3623 9.8842 7.0360
O 0.1655 1.3768 9.2473
O 0.8606 8.7803 4.1672
O 0.7776 11.8592 4.8090
O 0.0825 18.6121 9.8892
O 1.7802 11.9787 0.3839
O 1.0850 18.4926 5.4640
O 0.6511 3.8567 8.8332
O 1.3462 6.3005 3.7531
O 1.1443 4.4167 5.3211
O 1.8394 5.7404 0.2410
O 1.2449 14.8185 7.4494
O 1.9400 15.6528 2.3692
O 2.2474 13.6824 3.8554
O 1.5522 16.7889 8.9355
O 2.6586 3.5031 1.0832
O 1.9635 6.6540 6.1634
O 1.7774 10.4557 9.0514
O 2.4725 20.0156 3.9712
O 2.2407 0.1284 6.4813
O 2.9358 10.0287 1.4011
O 2.0965 2.2124 7.7983
O 2.7916 7.9447 2.7182
O 2.7704 1.8916 2.9166
O 2.0753 8.2655 7.9967
O 2.4254 13.0202 6.3329
O 3.1205 17.4511 1.2527
O 3.3330 11.5355 4.5553
O 2.6379 18.9358 9.6354
O 2.8032 4.9288 9.7933
O 3.4983 5.2283 4.7131
O 4.0470 15.1006 1.0443
O 3.3518 15.3708 6.1244
O 4.2493 1.5134 0.8344
O 3.5542 8.6437 5.9146
O 4.3496 11.9415 0.4929
O 3.6545 18.5298 5.5731
O 3.7105 2.1221 5.8699
O 4.4056 8.0350 0.7898
O 3.4873 14.0801 8.3492
O 4.1824 16.3912 3.2691
O 4.7143 3.3445 2.5900
O 4.0191 6.8126 7.6702
O 4.1425 0.8158 8.0530
O 4.8376 9.3413 2.9728
O 5.2563 10.9729 7.1875
O 5.9514 19.4984 2.1073
O 6.0748 13.5016 2.4901
O 5.3797 16.9697 7.5703
O 5.9115 3.9230 6.8912
O 6.6066 6.2341 1.8111
O 5.6883 12.2792 9.3705
O 6.3835 18.1921 4.2904
O 6.4394 1.7844 4.5872
O 5.7443 8.3727 9.6674
O 6.5397 11.6706 4.2457
O 5.8446 18.8008 9.3259
O 6.7421 4.9434 4.0359
O 6.0470 5.2137 9.1160
O 6.5956 15.0859 5.4472
O 7.2907 15.3854 0.3670
O 7.4560 1.3784 0.5249
O 6.7609 8.7787 5.6050
O 6.9734 2.8631 8.9076
O 7.6686 7.2940 3.8274
O 8.0187 12.0487 2.1636
O 7.3236 18.4226 7.2437
O 7.3024 12.3695 7.4421
O 7.9975 18.1018 2.3620
O 7.1581 10.2855 8.7592
O 7.8532 20.1858 3.6790
O 7.6214 0.2986 6.1891
O 8.3165 9.8585 1.1089
O 8.1304 13.6602 3.9969
O 7.4353 16.8111 9.0771
O 8.5417 3.5253 1.2248
O 7.8466 6.6318 6.3049
O 8.1539 4.6614 7.7911
O 8.8490 5.4957 2.7109
O 8.2545 14.5738 9.9193
O 8.9496 15.8975 4.8392
O 8.7478 14.0138 6.4072
O 9.4429 16.4576 1.3271
O 9.0089 1.8216 4.6963
O 8.3138 8.3355 9.7764
O 10.0114 1.7021 0.2711
O 9.3163 8.4550 5.3513
O 9.2333 11.5339 5.9931
O 9.9284 18.9374 0.9130
O 9.7316 10.4300 3.1243
O 9.0365 20.0413 8.2045
O 10.1264 11.6298 0.8850
O 9.4313 18.8415 5.9652
O 9.6123 4.8860 5.7370
O 10.3074 5.2712 0.6569
O 9.7209 12.6181 8.2402
O 10.4161 17.8532 3.1600
O 10.6158 3.7591 2.7248
O 9.9207 6.3980 7.8049
```

## Properties
The value obtained for the raw total energy is -7.71 eV/atom. The total magnetization is 0.00 μB/f.u. The calculation puts the energy above the most stable polymorph in this dataset at 5 meV/atom.

# 4
Crystalline YAg3Cl6 at its relaxed geometry. Source: Materials Project, functional PBE-GGA.

The structure in extended XYZ format:
```
10
Lattice="3.4983 2.0197 6.1803 -3.4983 2.0197 6.1803 0.0000 -4.0395 6.1803" Properties=species:S:1:pos:R:3 pbc="T T T"
Y 0.0000 0.0000 0.0000
Ag 0.0000 0.0000 3.8471
Ag 0.0000 0.0000 9.2704
Ag 0.0000 0.0000 14.6937
Cl -2.3339 0.2178 7.7614
Cl -1.3556 -1.9123 10.7795
Cl 0.9783 -2.1301 7.7614
Cl -0.9783 2.1301 10.7794
Cl 1.3556 1.9123 7.7614
Cl 2.3339 -0.2178 10.7794
```

## Properties
The value obtained for the raw total energy is -3.77 eV/atom.

# 5
Crystalline Pr2CrSe4 at its relaxed geometry. Source: Materials Project, functional PBE-GGA.

The structure in extended XYZ format:
```
7
Lattice="7.2259 -2.0885 0.0000 7.2259 2.0885 0.0000 -3.7888 0.0000 6.4272" Properties=species:S:1:pos:R:3 pbc="T T T"
Pr 2.3556 0.0000 1.3640
Pr 8.3074 0.0000 5.0632
Cr 5.3315 0.0000 3.2136
Se -0.0558 0.0000 3.1790
Se 5.2922 0.0000 0.6430
Se 5.3709 0.0000 5.7842
Se 10.7189 0.0000 3.2482
```

## Properties
The value obtained for the raw total energy is -6.07 eV/atom. The total magnetization is 4.00 μB/f.u.

# 6
Crystalline Al3Ru2 at its relaxed geometry. Source: Materials Project, functional PBE-GGA.

The structure in extended XYZ format:
```
5
Lattice="-1.5525 1.5525 7.1630 1.5525 -1.5525 7.1630 1.5525 1.5525 -7.1630" Properties=species:S:1:pos:R:3 pbc="T T T"
Al 0.0000 0.0000 0.0000
Al 0.0000 0.0000 2.7721
Al 0.0000 0.0000 11.5540
Ru 0.0000 0.0000 5.6404
Ru 0.0000 0.0000 8.6857
```

## Properties
The value obtained for the raw total energy is -6.67 eV/atom.

# 7
Crystalline Mg14MnFe at its relaxed geometry. Source: Materials Project, functional PBE-GGA.

The structure in extended XYZ format:
```
16
Lattice="9.8744 0.0000 0.0000 0.0000 3.1250 5.4749 0.0000 -3.1250 5.4749" Properties=species:S:1:pos:R:3 pbc="T T T"
Mg 0.0000 0.0000 0.0000
Mg 0.0000 -1.5593 2.7542
Mg 0.0000 0.0000 5.4679
Mg 0.0000 1.5593 2.7542
Mg 2.5106 0.0000 7.2584
Mg 2.5469 0.0000 1.7700
Mg 2.6308 -1.5777 4.6203
Mg 2.6308 1.5777 4.6203
Mg 4.9372 -1.5534 8.2091
Mg 4.9372 1.5534 8.2091
Mg 7.2436 -1.5777 4.6203
Mg 7.2436 1.5777 4.6203
Mg 7.3275 0.0000 1.7700
Mg 7.3638 0.0000 7.2584
Mn 4.9372 0.0000 5.4893
Fe 4.9372 0.0000 0.0331
```

## Properties
The value obtained for the raw total energy is -2.38 eV/atom. The total magnetization is 6.14 μB/f.u. The calculation puts the energy above the most stable polymorph in this dataset at 0 meV/atom.

# 8
Crystalline TiBr3 at its relaxed geometry. Source: Materials Project, functional PBE-GGA.

The structure in extended XYZ format:
```
8
Lattice="6.4827 0.0000 0.0000 -3.2108 5.6381 0.0000 -0.0151 -3.7223 6.8324" Properties=species:S:1:pos:R:3 pbc="T T T"
Ti -0.0691 -1.7983 6.8322
Ti 3.3259 3.7140 0.0002
Br -2.2782 1.9098 5.3514
Br -1.1126 3.6662 1.5473
Br 1.1479 -0.0849 5.3382
Br 2.1090 2.0007 1.4942
Br 4.3695 -1.7504 5.2852
Br 5.5351 0.0060 1.4810
```

## Properties
The value obtained for the raw total energy is -4.43 eV/atom.